(A)
Density functional theory data (PBE+U) for an optimized crystal structure of Fe5Si3O12.

Computed properties:
Crystal system   cubic

Lattice parameters (Å, degrees): 10.284 10.284 10.284 109.47 109.47 109.47
Sites, in units of the cell vectors:
Fe 0.000 0.000 0.000
Fe 0.000 0.000 0.500
Fe 0.000 0.500 0.000
Fe 0.000 0.500 0.500
Fe 0.125 0.250 0.375
Fe 0.125 0.375 0.750
Fe 0.250 0.375 0.125
Fe 0.250 0.875 0.625
Fe 0.375 0.125 0.250
Fe 0.375 0.750 0.125
Fe 0.500 0.000 0.000
Fe 0.500 0.000 0.500
Fe 0.500 0.500 0.000
Fe 0.500 0.500 0.500
Fe 0.625 0.250 0.875
Fe 0.625 0.875 0.750
Fe 0.750 0.125 0.375
Fe 0.750 0.625 0.875
Fe 0.875 0.625 0.250
Fe 0.875 0.750 0.625
Si 0.125 0.750 0.875
Si 0.125 0.875 0.250
Si 0.250 0.125 0.875
Si 0.250 0.625 0.375
Si 0.375 0.250 0.625
Si 0.375 0.625 0.750
Si 0.625 0.375 0.250
Si 0.625 0.750 0.375
Si 0.750 0.375 0.625
Si 0.750 0.875 0.125
Si 0.875 0.125 0.750
Si 0.875 0.250 0.125
O 0.018 0.210 0.122
O 0.018 0.307 0.896
O 0.088 0.710 0.693
O 0.088 0.878 0.396
O 0.104 0.622 0.412
O 0.104 0.982 0.693
O 0.122 0.018 0.210
O 0.122 0.604 0.912
O 0.193 0.210 0.588
O 0.193 0.482 0.604
O 0.210 0.122 0.018
O 0.210 0.588 0.193
O 0.290 0.307 0.912
O 0.290 0.482 0.378
O 0.307 0.896 0.018
O 0.307 0.912 0.290
O 0.378 0.290 0.482
O 0.378 0.588 0.896
O 0.396 0.088 0.878
O 0.396 0.807 0.518
O 0.412 0.104 0.622
O 0.412 0.807 0.790
O 0.482 0.378 0.290
O 0.482 0.604 0.193
O 0.518 0.396 0.807
O 0.518 0.622 0.710
O 0.588 0.193 0.210
O 0.588 0.896 0.378
O 0.604 0.193 0.482
O 0.604 0.912 0.122
O 0.622 0.412 0.104
O 0.622 0.710 0.518
O 0.693 0.088 0.710
O 0.693 0.104 0.982
O 0.710 0.518 0.622
O 0.710 0.693 0.088
O 0.790 0.412 0.807
O 0.790 0.878 0.982
O 0.807 0.518 0.396
O 0.807 0.790 0.412
O 0.878 0.396 0.088
O 0.878 0.982 0.790
O 0.896 0.018 0.307
O 0.896 0.378 0.588
O 0.912 0.122 0.604
O 0.912 0.290 0.307
O 0.982 0.693 0.104
O 0.982 0.790 0.878

***

(B)
Density functional theory data (PBE+U) for an optimized crystal structure of Fe5Si3O12.

Computed properties:
Crystal system   orthorhombic

Lattice parameters (Å, degrees): 10.402 17.853 4.893 90.00 90.00 90.00
Sites, in units of the cell vectors:
Fe 0.008 0.159 0.003
Fe 0.008 0.341 0.003
Fe 0.217 0.750 0.483
Fe 0.230 0.080 0.495
Fe 0.230 0.420 0.495
Fe 0.270 0.580 0.995
Fe 0.270 0.920 0.995
Fe 0.283 0.250 0.983
Fe 0.492 0.659 0.503
Fe 0.492 0.841 0.503
Fe 0.508 0.159 0.497
Fe 0.508 0.341 0.497
Fe 0.717 0.750 0.017
Fe 0.730 0.080 0.005
Fe 0.730 0.420 0.005
Fe 0.770 0.580 0.505
Fe 0.770 0.920 0.505
Fe 0.783 0.250 0.517
Fe 0.992 0.659 0.997
Fe 0.992 0.841 0.997
Si 0.094 0.580 0.436
Si 0.094 0.920 0.436
Si 0.100 0.250 0.432
Si 0.400 0.750 0.932
Si 0.406 0.080 0.936
Si 0.406 0.420 0.936
Si 0.594 0.580 0.064
Si 0.594 0.920 0.064
Si 0.600 0.250 0.068
Si 0.900 0.750 0.568
Si 0.906 0.080 0.564
Si 0.906 0.420 0.564
O 0.043 0.750 0.711
O 0.056 0.085 0.673
O 0.056 0.415 0.673
O 0.096 0.250 0.767
O 0.106 0.587 0.766
O 0.106 0.913 0.766
O 0.166 0.651 0.270
O 0.166 0.849 0.270
O 0.173 0.176 0.291
O 0.173 0.324 0.291
O 0.177 0.511 0.296
O 0.177 0.989 0.296
O 0.323 0.011 0.796
O 0.323 0.489 0.796
O 0.327 0.676 0.791
O 0.327 0.824 0.791
O 0.334 0.151 0.770
O 0.334 0.349 0.770
O 0.394 0.087 0.266
O 0.394 0.413 0.266
O 0.404 0.750 0.267
O 0.444 0.585 0.173
O 0.444 0.915 0.173
O 0.457 0.250 0.211
O 0.543 0.750 0.789
O 0.556 0.085 0.827
O 0.556 0.415 0.827
O 0.596 0.250 0.733
O 0.606 0.587 0.734
O 0.606 0.913 0.734
O 0.666 0.651 0.230
O 0.666 0.849 0.230
O 0.673 0.176 0.209
O 0.673 0.324 0.209
O 0.677 0.511 0.204
O 0.677 0.989 0.204
O 0.823 0.011 0.704
O 0.823 0.489 0.704
O 0.827 0.676 0.709
O 0.827 0.824 0.709
O 0.834 0.151 0.730
O 0.834 0.349 0.730
O 0.894 0.087 0.234
O 0.894 0.413 0.234
O 0.904 0.750 0.233
O 0.944 0.585 0.327
O 0.944 0.915 0.327
O 0.957 0.250 0.289

***

The winner here is (B), beating the second structure by 1.4 kJ/mol of atoms.